(1)
Crystalline Ni20Sn3B6 at its relaxed geometry. Source: the Materials Project, functional PBE-GGA.

The raw total energy comes out at -6.05 eV/atom. As for the formation energy: -271 meV per atom.

Cell lengths 10.674, 10.674, 10.674 Å; angles 90.00, 90.00, 90.00 degrees
Space group Fm-3m (No. 225)
Symmetry-distinct sites (fractional):
Ni (0.000, 0.171, 0.171) (multiplicity 48)
Ni (0.114, 0.114, 0.386) (multiplicity 32)
Sn (0.000, 0.000, 0.000) (multiplicity 4)
Sn (0.250, 0.250, 0.250) (multiplicity 8)
B (0.000, 0.000, 0.275) (multiplicity 24)

***

(2)
Crystalline Sc2Si2Pt3 at its relaxed geometry. Source: the Materials Project, functional PBE-GGA.

The raw total energy comes out at -7.15 eV/atom. As for the formation energy: -1191 meV per atom.

Cell lengths 6.410, 8.766, 4.072 Å; angles 90.00, 90.00, 90.00 degrees
Space group Pbam (No. 55)
Symmetry-distinct sites (fractional):
Sc (0.109, 0.170, 0.000) (multiplicity 4)
Si (0.076, 0.651, 0.500) (multiplicity 4)
Pt (0.000, 0.500, 0.000) (multiplicity 2)
Pt (0.191, 0.913, 0.500) (multiplicity 4)

***

(3)
Crystalline Sr2AlGaCu2O7 at its relaxed geometry. Source: the Materials Project, functional PBE-GGA.

The raw total energy comes out at -6.04 eV/atom. As for the formation energy: -2336 meV per atom.

Cell lengths 23.751, 5.408, 5.294 Å; angles 90.00, 102.74, 90.00 degrees
Space group Cc (No. 9)
Symmetry-distinct sites (fractional):
Sr (0.000, 0.230, 0.000) (multiplicity 4)
Sr (0.300, 0.264, 0.309) (multiplicity 4)
Al (0.150, 0.241, 0.174) (multiplicity 4)
Ga (0.400, 0.181, 0.951) (multiplicity 4)
Cu (0.092, 0.253, 0.599) (multiplicity 4)
Cu (0.208, 0.250, 0.727) (multiplicity 4)
O (0.093, 0.417, 0.269) (multiplicity 4)
O (0.099, 0.061, 0.922) (multiplicity 4)
O (0.201, 0.427, 0.041) (multiplicity 4)
O (0.206, 0.076, 0.397) (multiplicity 4)
O (0.325, 0.285, 0.815) (multiplicity 4)
O (0.400, 0.146, 0.310) (multiplicity 4)
O (0.475, 0.282, 0.960) (multiplicity 4)

***

(4)
Crystalline Lu2NiIr at its relaxed geometry. Source: the Materials Project, functional PBE-GGA.

The raw total energy comes out at -6.69 eV/atom. As for the formation energy: -778 meV per atom.

Cell lengths 6.650, 6.650, 6.650 Å; angles 90.00, 90.00, 90.00 degrees
Space group Fm-3m (No. 225)
Symmetry-distinct sites (fractional):
Lu (0.250, 0.250, 0.250) (multiplicity 8)
Ni (0.000, 0.000, 0.000) (multiplicity 4)
Ir (0.000, 0.000, 0.500) (multiplicity 4)

***

(5)
Crystalline Y2Hf2O7 at its relaxed geometry. Source: the Materials Project, functional PBE-GGA.

The raw total energy comes out at -9.69 eV/atom. As for the formation energy: -3997 meV per atom.

Cell lengths 10.526, 10.526, 10.526 Å; angles 90.00, 90.00, 90.00 degrees
Space group Fd-3m (No. 227, origin choice 2)
Symmetry-distinct sites (fractional):
Y (0.000, 0.000, 0.000) (multiplicity 16)
Hf (0.000, 0.000, 0.500) (multiplicity 16)
O (0.087, 0.375, 0.875) (multiplicity 48)
O (0.125, 0.125, 0.125) (multiplicity 8)

***

(6)
Crystalline DyFe2B2 at its relaxed geometry. Source: the Materials Project, functional PBE-GGA.

The raw total energy comes out at -7.42 eV/atom. As for the formation energy: -439 meV per atom.

Cell lengths 3.614, 3.614, 9.392 Å; angles 90.00, 90.00, 90.00 degrees
Space group I4/mmm (No. 139)
Symmetry-distinct sites (fractional):
Dy (0.000, 0.000, 0.000) (multiplicity 2)
Fe (0.000, 0.500, 0.250) (multiplicity 4)
B (0.000, 0.000, 0.341) (multiplicity 4)

***

(7)
Crystalline BaAuO2 at its relaxed geometry. Source: the Materials Project, functional PBE-GGA.

The raw total energy comes out at -5.21 eV/atom. As for the formation energy: -1783 meV per atom.

Cell lengths 7.453, 10.339, 3.933 Å; angles 90.00, 90.27, 90.00 degrees
Space group C2/m (No. 12)
Symmetry-distinct sites (fractional):
Ba (0.250, 0.250, 0.000) (multiplicity 4)
Au (0.000, 0.000, 0.500) (multiplicity 2)
Au (0.000, 0.500, 0.500) (multiplicity 2)
O (0.000, 0.199, 0.500) (multiplicity 4)
O (0.247, 0.500, 0.272) (multiplicity 4)

***

(8)
Crystalline LiPmGa2 at its relaxed geometry. Source: the Materials Project, functional PBE-GGA.

The raw total energy comes out at -3.63 eV/atom. As for the formation energy: -452 meV per atom.

Cell lengths 6.960, 6.960, 6.960 Å; angles 90.00, 90.00, 90.00 degrees
Space group Fm-3m (No. 225)
Symmetry-distinct sites (fractional):
Li (0.000, 0.000, 0.000) (multiplicity 4)
Pm (0.000, 0.000, 0.500) (multiplicity 4)
Ga (0.250, 0.250, 0.250) (multiplicity 8)